Entry 1:
Density functional theory data (GGA+U) for crystalline Fe9Cu3O16 at its relaxed geometry. Values from VASP.

Summary:
The energy above the lowest structure with this stoichiometry is 1.4 kJ/mol of atoms. As for the formation energy: -1.405 eV per atom. Its total magnetization is 43.00 μB/cell. The space-group type is No. 25.

```
&SYSTEM
  ibrav = 0, nat = 28, ntyp = 3
/
ATOMIC_SPECIES
Fe 55.84 Fe.upf
Cu 63.55 Cu.upf
O 16.00 O.upf
CELL_PARAMETERS angstrom
5.8570 0.0000 0.0000
0.0000 5.8792 0.0000
0.0000 0.0000 8.3393
ATOMIC_POSITIONS crystal
Fe 0.5000 0.5000 0.9975
Fe 0.7545 0.0000 0.1226
Fe 0.2455 0.0000 0.1226
Fe 0.5000 0.7526 0.3775
Fe 0.5000 0.2474 0.3775
Fe 0.2498 0.5000 0.6259
Fe 0.7502 0.5000 0.6259
Fe 0.0000 0.7550 0.8760
Fe 0.0000 0.2450 0.8760
Cu 0.0000 0.5000 0.2534
Cu 0.0000 0.0000 0.5017
Cu 0.5000 0.0000 0.7471
O 0.0000 0.2259 0.1093
O 0.0000 0.7741 0.1093
O 0.5000 0.7696 0.1281
O 0.5000 0.2304 0.1281
O 0.7269 0.0000 0.3566
O 0.2731 0.0000 0.3566
O 0.2716 0.5000 0.3914
O 0.7284 0.5000 0.3914
O 0.5000 0.2782 0.6112
O 0.5000 0.7218 0.6112
O 0.0000 0.7263 0.6422
O 0.0000 0.2737 0.6422
O 0.2299 0.5000 0.8665
O 0.7701 0.5000 0.8665
O 0.7785 0.0000 0.8876
O 0.2215 0.0000 0.8876
```

***

Entry 2:
Density functional theory data (GGA+U) for crystalline FeCuO2 at its relaxed geometry. Values from VASP.

Summary:
As for the formation energy: -1.316 eV per atom. The space-group type is No. 194.

```
&SYSTEM
  ibrav = 0, nat = 8, ntyp = 3
/
ATOMIC_SPECIES
Fe 55.84 Fe.upf
Cu 63.55 Cu.upf
O 16.00 O.upf
CELL_PARAMETERS angstrom
1.5327 -2.6546 0.0000
1.5327 2.6546 0.0000
0.0000 0.0000 11.5458
ATOMIC_POSITIONS crystal
Fe 0.0000 0.0000 0.5000
Fe 0.0000 0.0000 0.0000
Cu 0.6667 0.3333 0.7500
Cu 0.3333 0.6667 0.2500
O 0.3333 0.6667 0.4100
O 0.6667 0.3333 0.9100
O 0.6667 0.3333 0.5900
O 0.3333 0.6667 0.0900
```